1.
Nd7Ni3 (PBE, optimized geometry); E_form = -1.98 eV/f.u.; magnetization = 0.01 μB/f.u.; crystal system = hexagonal; raw total energy = -105.4 eV/cell
1.0
0.621 -6.063 -1.812
1.519 2.952 -9.358
7.696 -1.059 6.183
Nd Ni
14 6
direct
0.464 0.333 0.667
0.964 0.667 0.333
0.251 0.125 0.875
0.251 0.749 0.875
0.251 0.125 0.251
0.751 0.875 0.125
0.751 0.251 0.125
0.751 0.875 0.749
0.436 0.539 0.461
0.436 0.921 0.461
0.436 0.539 0.079
0.936 0.461 0.539
0.936 0.079 0.539
0.936 0.461 0.921
0.190 0.812 0.188
0.190 0.376 0.188
0.190 0.812 0.624
0.690 0.188 0.812
0.690 0.624 0.812
0.690 0.188 0.376



2.
NdNi5 (PBE, optimized geometry); E_form = -1.65 eV/f.u.; crystal system = hexagonal; raw total energy = -35.3 eV/cell
1.0
0.868 -3.360 -1.868
1.484 2.586 -3.962
4.729 1.440 -0.392
Nd Ni
1 5
direct
0.000 0.000 0.000
0.000 0.333 0.333
0.000 0.667 0.667
0.500 0.000 0.500
0.500 0.500 0.500
0.500 0.500 0.000



3.
NdNi3 (PBE, optimized geometry); E_form = -1.24 eV/f.u.; crystal system = trigonal; raw total energy = -70.0 eV/cell
1.0
8.397 -2.501 0.000
8.397 2.501 0.000
7.652 0.000 4.267
Nd Ni
3 9
direct
0.861 0.861 0.861
0.139 0.139 0.139
0.000 0.000 0.000
0.420 0.917 0.420
0.420 0.420 0.917
0.917 0.420 0.420
0.580 0.083 0.580
0.580 0.580 0.083
0.083 0.580 0.580
0.667 0.667 0.667
0.333 0.333 0.333
0.500 0.500 0.500



4.
Nd2Ni17 (PBE, optimized geometry); E_form = -3.08 eV/f.u.; magnetization = 7.04 μB/f.u.; crystal system = hexagonal; raw total energy = -221.8 eV/cell
1.0
-2.914 -1.024 -7.729
-3.881 -3.602 6.422
-4.627 6.549 0.877
Nd Ni
4 34
direct
0.000 0.000 0.250
0.000 0.000 0.750
0.667 0.333 0.250
0.333 0.667 0.750
0.500 0.000 0.500
0.500 0.500 0.500
0.834 0.166 0.481
0.332 0.166 0.019
0.166 0.332 0.519
0.671 0.626 0.750
0.667 0.333 0.896
0.333 0.667 0.396
0.668 0.834 0.981
0.374 0.329 0.750
0.046 0.374 0.250
0.834 0.166 0.019
0.626 0.954 0.250
0.954 0.626 0.750
0.332 0.166 0.481
0.834 0.668 0.481
0.166 0.332 0.981
0.834 0.668 0.019
0.667 0.333 0.604
0.668 0.834 0.519
0.000 0.500 0.000
0.329 0.954 0.250
0.329 0.374 0.250
0.333 0.667 0.104
0.166 0.834 0.519
0.046 0.671 0.250
0.671 0.046 0.750
0.166 0.834 0.981
0.626 0.671 0.250
0.500 0.500 0.000
0.954 0.329 0.750
0.374 0.046 0.750
0.000 0.500 0.500
0.500 0.000 0.000



5.
Nd25Ni49P33 (PBE, optimized geometry); E_form = -103.23 eV/f.u.; magnetization = 0.01 μB/f.u.; crystal system = hexagonal; raw total energy = -684.3 eV/cell
1.0
-2.349 -3.137 0.721
-10.544 3.434 -19.416
17.970 -13.283 0.766
Nd Ni P
25 49 33
direct
0.500 0.573 0.609
0.500 0.036 0.427
0.500 0.036 0.609
0.500 0.391 0.964
0.500 0.391 0.427
0.500 0.573 0.964
0.000 0.822 0.645
0.000 0.822 0.178
0.000 0.355 0.178
0.500 0.574 0.149
0.500 0.574 0.426
0.500 0.851 0.426
0.000 0.001 0.180
0.000 0.179 0.999
0.000 0.179 0.180
0.000 0.820 0.821
0.000 0.820 0.999
0.000 0.001 0.821
0.000 0.000 0.000
0.500 0.213 0.427
0.500 0.213 0.787
0.500 0.573 0.787
0.500 0.393 0.786
0.500 0.393 0.607
0.500 0.214 0.607
0.500 0.885 0.304
0.500 0.419 0.115
0.500 0.419 0.304
0.500 0.696 0.581
0.500 0.696 0.115
0.500 0.885 0.581
0.000 0.805 0.304
0.000 0.499 0.195
0.000 0.499 0.304
0.000 0.696 0.501
0.000 0.696 0.195
0.000 0.805 0.501
0.500 0.695 0.760
0.500 0.064 0.305
0.500 0.064 0.760
0.500 0.240 0.936
0.500 0.240 0.305
0.500 0.695 0.936
0.000 0.512 0.025
0.000 0.512 0.488
0.000 0.975 0.488
0.000 0.631 0.262
0.000 0.631 0.369
0.000 0.738 0.369
0.500 0.060 0.120
0.500 0.060 0.940
0.500 0.880 0.940
0.500 0.708 0.415
0.500 0.708 0.292
0.500 0.585 0.292
0.000 0.333 0.667
0.000 0.974 0.303
0.000 0.329 0.026
0.000 0.329 0.303
0.000 0.697 0.671
0.000 0.697 0.026
0.000 0.974 0.671
0.000 0.151 0.302
0.000 0.151 0.849
0.000 0.698 0.849
0.500 0.881 0.761
0.500 0.881 0.119
0.500 0.239 0.119
0.000 0.513 0.667
0.000 0.154 0.487
0.000 0.154 0.667
0.000 0.333 0.846
0.000 0.333 0.487
0.000 0.513 0.846
0.500 0.764 0.528
0.500 0.764 0.236
0.500 0.472 0.236
0.000 0.274 0.547
0.000 0.274 0.726
0.000 0.453 0.726
0.000 0.452 0.905
0.000 0.452 0.548
0.000 0.095 0.548
0.500 0.119 0.239
0.500 0.119 0.881
0.500 0.761 0.881
0.000 0.632 0.727
0.000 0.095 0.368
0.000 0.095 0.727
0.000 0.273 0.905
0.000 0.273 0.368
0.000 0.632 0.905
0.000 0.919 0.370
0.000 0.451 0.081
0.000 0.451 0.370
0.000 0.630 0.549
0.000 0.630 0.081
0.000 0.919 0.549
0.500 0.941 0.881
0.500 0.941 0.059
0.500 0.119 0.059
0.500 0.942 0.239
0.500 0.297 0.058
0.500 0.297 0.239
0.500 0.761 0.703
0.500 0.761 0.058
0.500 0.942 0.703



6.
Nd3Ni7P5 (PBE, optimized geometry); E_form = -13.90 eV/f.u.; magnetization = 0.00 μB/f.u.; crystal system = monoclinic; raw total energy = -382.9 eV/cell
1.0
3.923 0.000 0.000
0.000 16.555 0.000
0.000 8.267 14.369
Nd Ni P
12 28 20
direct
0.000 0.384 0.441
0.000 0.441 0.176
0.000 0.175 0.384
0.500 0.616 0.558
0.500 0.559 0.825
0.500 0.825 0.616
0.000 0.120 0.647
0.000 0.647 0.234
0.000 0.236 0.120
0.500 0.878 0.355
0.500 0.354 0.765
0.500 0.766 0.880
0.000 0.300 0.656
0.000 0.658 0.043
0.000 0.042 0.302
0.500 0.696 0.347
0.500 0.344 0.958
0.500 0.957 0.697
0.000 0.933 0.826
0.000 0.825 0.242
0.000 0.249 0.926
0.500 0.074 0.175
0.500 0.176 0.751
0.500 0.750 0.074
0.000 0.987 0.566
0.000 0.566 0.447
0.000 0.447 0.987
0.500 0.014 0.433
0.500 0.434 0.553
0.500 0.554 0.014
0.000 0.717 0.774
0.000 0.774 0.509
0.000 0.510 0.716
0.500 0.284 0.226
0.500 0.226 0.491
0.500 0.491 0.283
0.000 0.089 0.059
0.500 0.941 0.150
0.500 0.150 0.910
0.500 0.905 0.938
0.000 0.667 0.666
0.500 0.333 0.333
0.000 0.820 0.983
0.000 0.978 0.202
0.000 0.198 0.818
0.500 0.182 0.021
0.500 0.019 0.795
0.500 0.795 0.186
0.000 0.873 0.723
0.000 0.723 0.404
0.000 0.406 0.871
0.500 0.129 0.277
0.500 0.277 0.595
0.500 0.594 0.128
0.000 0.609 0.929
0.000 0.929 0.463
0.000 0.463 0.609
0.500 0.392 0.071
0.500 0.071 0.538
0.500 0.538 0.391



7.
Nd2Ni12P7 (PBE, optimized geometry); E_form = -15.59 eV/f.u.; magnetization = 0.00 μB/f.u.; crystal system = monoclinic; raw total energy = -132.4 eV/cell
1.0
-8.931 -1.488 -0.880
0.669 -2.352 -2.817
4.950 -5.240 5.552
Nd Ni P
2 12 7
direct
0.667 0.000 0.333
0.333 0.500 0.667
0.376 0.000 0.434
0.059 0.000 0.625
0.566 0.000 0.941
0.875 0.000 0.147
0.272 0.000 0.125
0.853 0.000 0.728
0.952 0.500 0.378
0.426 0.500 0.048
0.622 0.500 0.574
0.119 0.500 0.213
0.095 0.500 0.881
0.787 0.500 0.905
0.108 0.000 0.401
0.294 0.000 0.892
0.598 0.000 0.707
0.703 0.500 0.103
0.400 0.500 0.297
0.897 0.500 0.600
0.000 0.000 0.000



8.
NdNiP (PBE, optimized geometry); E_form = -3.44 eV/f.u.; crystal system = hexagonal; raw total energy = -77.6 eV/cell
1.0
-2.289 2.748 1.763
-1.430 -3.664 -0.657
5.455 -4.720 14.442
Nd Ni P
4 4 4
direct
0.000 0.000 0.500
0.000 0.000 0.000
0.000 0.000 0.250
0.000 0.000 0.750
0.333 0.667 0.374
0.667 0.333 0.626
0.667 0.333 0.874
0.333 0.667 0.126
0.333 0.667 0.875
0.667 0.333 0.125
0.667 0.333 0.375
0.333 0.667 0.625